[1]
A plane-wave DFT calculation with PBE with a Hubbard U was carried out for a relaxed structure of Sr4Mn3O10.

CIF file:
```
data_Sr4Mn3O10
_chemical_formula_sum 'Sr16 Mn12 O40'
_symmetry_space_group_name_H-M 'P 2 2 21'
_symmetry_Int_Tables_number 17
_symmetry_space_group_name_Hall 'P 2c 2'
_cell_length_a 5.542
_cell_length_b 12.614
_cell_length_c 12.826
_cell_angle_alpha 90.00
_cell_angle_beta 90.00
_cell_angle_gamma 90.00
loop_
_atom_site_label
_atom_site_type_symbol
_atom_site_fract_x
_atom_site_fract_y
_atom_site_fract_z
Sr1 Sr 0.244 0.238 0.106
Sr2 Sr 0.247 0.471 0.856
Sr3 Sr 0.251 0.029 0.354
Sr4 Sr 0.254 0.262 0.604
Mn1 Mn 0.248 0.135 0.849
Mn2 Mn 0.251 0.000 0.000
Mn3 Mn 0.252 0.366 0.348
Mn4 Mn 0.257 0.500 0.500
O1 O 0.000 0.120 0.750
O2 O 0.000 0.383 0.250
O3 O 0.020 0.107 0.963
O4 O 0.026 0.393 0.463
O5 O 0.237 0.278 0.862
O6 O 0.248 0.223 0.354
O7 O 0.254 0.036 0.146
O8 O 0.260 0.463 0.646
O9 O 0.479 0.109 0.962
O10 O 0.484 0.391 0.463
O11 O 0.500 0.130 0.750
O12 O 0.500 0.379 0.250
```

Output
Its spin magnetization is 0.53 μB per atom. For the excess energy over the best structure of this formula in the dataset, the calculation gives 2.6 meV/atom.


[2]
A plane-wave DFT calculation with PBE with a Hubbard U was carried out for a relaxed structure of Sr13Mn8O30.

CIF file:
```
data_Sr13Mn8O30
_chemical_formula_sum 'Sr13 Mn8 O30'
_symmetry_space_group_name_H-M 'P 1'
_symmetry_Int_Tables_number 1
_symmetry_space_group_name_Hall 'P 1'
_cell_length_a 8.582
_cell_length_b 9.365
_cell_length_c 10.288
_cell_angle_alpha 89.16
_cell_angle_beta 86.14
_cell_angle_gamma 83.81
loop_
_atom_site_label
_atom_site_type_symbol
_atom_site_fract_x
_atom_site_fract_y
_atom_site_fract_z
Sr1 Sr 0.000 0.000 0.000
Sr2 Sr 0.004 0.419 0.467
Sr3 Sr 0.083 0.091 0.642
Sr4 Sr 0.257 0.357 0.823
Sr5 Sr 0.375 0.004 0.273
Sr6 Sr 0.555 0.567 0.462
Sr7 Sr 0.669 0.819 0.942
Sr8 Sr 0.693 0.469 0.113
Sr9 Sr 0.744 0.332 0.776
Sr10 Sr 0.752 0.181 0.324
Sr11 Sr 0.765 0.902 0.611
Sr12 Sr 0.881 0.734 0.274
Sr13 Sr 0.985 0.639 0.758
Mn1 Mn 0.109 0.627 0.048
Mn2 Mn 0.132 0.771 0.489
Mn3 Mn 0.282 0.671 0.248
Mn4 Mn 0.354 0.704 0.730
Mn5 Mn 0.359 0.349 0.319
Mn6 Mn 0.403 0.045 0.814
Mn7 Mn 0.550 0.170 0.577
Mn8 Mn 0.595 0.166 0.038
O1 O 0.011 0.364 0.712
O2 O 0.018 0.939 0.447
O3 O 0.131 0.540 0.220
O4 O 0.158 0.810 0.148
O5 O 0.182 0.818 0.653
O6 O 0.199 0.100 0.871
O7 O 0.211 0.230 0.364
O8 O 0.220 0.623 0.888
O9 O 0.245 0.560 0.508
O10 O 0.280 0.537 0.644
O11 O 0.332 0.785 0.389
O12 O 0.348 0.156 0.657
O13 O 0.448 0.525 0.254
O14 O 0.468 0.027 0.989
O15 O 0.471 0.855 0.770
O16 O 0.501 0.318 0.456
O17 O 0.508 0.223 0.203
O18 O 0.523 0.324 0.947
O19 O 0.556 0.570 0.712
O20 O 0.578 0.025 0.459
O21 O 0.603 0.098 0.744
O22 O 0.633 0.837 0.188
O23 O 0.702 0.620 0.753
O24 O 0.731 0.956 0.147
O25 O 0.771 0.207 0.561
O26 O 0.787 0.483 0.325
O27 O 0.799 0.219 0.053
O28 O 0.891 0.908 0.814
O29 O 0.896 0.628 0.017
O30 O 0.942 0.685 0.511
```

Output
Its spin magnetization is 0.55 μB per atom. For the excess energy over the best structure of this formula in the dataset, the calculation gives 556.3 meV/atom.


[3]
A plane-wave DFT calculation with PBE with a Hubbard U was carried out for a relaxed structure of Sr3Mn2O7.

CIF file:
```
data_Sr3Mn2O7
_chemical_formula_sum 'Sr6 Mn4 O14'
_symmetry_space_group_name_H-M 'I 4/m m m'
_symmetry_Int_Tables_number 139
_symmetry_space_group_name_Hall '-I 4 2'
_cell_length_a 3.880
_cell_length_b 3.880
_cell_length_c 20.279
_cell_angle_alpha 90.00
_cell_angle_beta 90.00
_cell_angle_gamma 90.00
loop_
_atom_site_label
_atom_site_type_symbol
_atom_site_fract_x
_atom_site_fract_y
_atom_site_fract_z
Sr1 Sr 0.000 0.000 0.000
Sr2 Sr 0.000 0.000 0.183
Mn1 Mn 0.000 0.000 0.403
O1 O 0.000 0.000 0.307
O2 O 0.000 0.000 0.500
O3 O 0.000 0.500 0.096
```

Output
Its spin magnetization is 0.51 μB per atom. The energy comes out at -6.754 eV per atom.


[4]
A plane-wave DFT calculation with PBE with a Hubbard U was carried out for a relaxed structure of Sr7Mn7O20.

CIF file:
```
data_Sr7Mn7O20
_chemical_formula_sum 'Sr7 Mn7 O20'
_symmetry_space_group_name_H-M 'P 1 2/m 1'
_symmetry_Int_Tables_number 10
_symmetry_space_group_name_Hall '-P 2y'
_cell_length_a 8.681
_cell_length_b 3.883
_cell_length_c 12.444
_cell_angle_alpha 90.00
_cell_angle_beta 98.91
_cell_angle_gamma 90.00
loop_
_atom_site_label
_atom_site_type_symbol
_atom_site_fract_x
_atom_site_fract_y
_atom_site_fract_z
Sr1 Sr 0.000 0.000 0.000
Sr2 Sr 0.140 0.000 0.717
Sr3 Sr 0.266 0.000 0.423
Sr4 Sr 0.425 0.000 0.138
Mn1 Mn 0.000 0.500 0.500
Mn2 Mn 0.143 0.500 0.215
Mn3 Mn 0.286 0.500 0.929
Mn4 Mn 0.427 0.500 0.648
O1 O 0.000 0.000 0.500
O2 O 0.050 0.500 0.353
O3 O 0.068 0.500 0.865
O4 O 0.139 0.000 0.218
O5 O 0.226 0.500 0.082
O6 O 0.227 0.500 0.556
O7 O 0.286 0.000 0.930
O8 O 0.352 0.500 0.305
O9 O 0.357 0.500 0.786
O10 O 0.440 0.000 0.621
O11 O 0.500 0.500 0.000
```

Output
Its spin magnetization is 0.69 μB per atom. The energy comes out at -6.891 eV per atom.


[5]
A plane-wave DFT calculation with PBE with a Hubbard U was carried out for a relaxed structure of Sr7Mn4O15.

CIF file:
```
data_Sr7Mn4O15
_chemical_formula_sum 'Sr14 Mn8 O30'
_symmetry_space_group_name_H-M 'P 1 21/c 1'
_symmetry_Int_Tables_number 14
_symmetry_space_group_name_Hall '-P 2ybc'
_cell_length_a 6.892
_cell_length_b 9.784
_cell_length_c 10.572
_cell_angle_alpha 90.00
_cell_angle_beta 91.71
_cell_angle_gamma 90.00
loop_
_atom_site_label
_atom_site_type_symbol
_atom_site_fract_x
_atom_site_fract_y
_atom_site_fract_z
Sr1 Sr 0.000 0.000 0.000
Sr2 Sr 0.149 0.149 0.305
Sr3 Sr 0.320 0.004 0.668
Sr4 Sr 0.499 0.686 0.465
Mn1 Mn 0.077 0.667 0.926
Mn2 Mn 0.280 0.669 0.720
O1 O 0.000 0.000 0.500
O2 O 0.007 0.602 0.753
O3 O 0.163 0.246 0.546
O4 O 0.179 0.674 0.338
O5 O 0.187 0.719 0.085
O6 O 0.338 0.519 0.620
O7 O 0.339 0.583 0.882
O8 O 0.472 0.246 0.790
```

Output
The energy comes out at -6.740 eV per atom.


[6]
A plane-wave DFT calculation with PBE with a Hubbard U was carried out for a relaxed structure of SrMnTeO6.

CIF file:
```
data_SrMnTeO6
_chemical_formula_sum 'Sr1 Mn1 Te1 O6'
_symmetry_space_group_name_H-M 'P -6'
_symmetry_Int_Tables_number 174
_symmetry_space_group_name_Hall 'P -6'
_cell_length_a 5.1689
_cell_length_b 5.1689
_cell_length_c 5.5528
_cell_angle_alpha 90.00
_cell_angle_beta 90.00
_cell_angle_gamma 120.00
loop_
_atom_site_label
_atom_site_type_symbol
_atom_site_fract_x
_atom_site_fract_y
_atom_site_fract_z
Sr1 Sr 0.0000 0.0000 0.0000
Mn1 Mn 0.6667 0.3333 0.5000
Te1 Te 0.3333 0.6667 0.5000
O1 O 0.4292 0.4286 0.2803
```

Output
Its spin magnetization is 0.33 μB per atom. The energy comes out at -6.140 eV per atom.


[7]
A plane-wave DFT calculation with PBE with a Hubbard U was carried out for a relaxed structure of Sr2UMnO6.

CIF file:
```
data_Sr2UMnO6
_chemical_formula_sum 'Sr4 U2 Mn2 O12'
_symmetry_space_group_name_H-M 'P 1 21/c 1'
_symmetry_Int_Tables_number 14
_symmetry_space_group_name_Hall '-P 2ybc'
_cell_length_a 5.886
_cell_length_b 5.975
_cell_length_c 10.207
_cell_angle_alpha 90.00
_cell_angle_beta 125.07
_cell_angle_gamma 90.00
loop_
_atom_site_label
_atom_site_type_symbol
_atom_site_fract_x
_atom_site_fract_y
_atom_site_fract_z
Sr1 Sr 0.241 0.040 0.249
U1 U 0.500 0.000 0.000
Mn1 Mn 0.000 0.000 0.500
O1 O 0.172 0.199 0.959
O2 O 0.256 0.714 0.954
O3 O 0.340 0.027 0.757
```

Output
Its spin magnetization is 0.30 μB per atom. The energy comes out at -7.882 eV per atom.


[8]
A plane-wave DFT calculation with PBE with a Hubbard U was carried out for a relaxed structure of SrMn2V2O8.

CIF file:
```
data_SrMn2V2O8
_chemical_formula_sum 'Sr8 Mn16 V16 O64'
_symmetry_space_group_name_H-M 'I 41 c d'
_symmetry_Int_Tables_number 110
_symmetry_space_group_name_Hall 'I 4bw -2c'
_cell_length_a 12.645
_cell_length_b 12.645
_cell_length_c 8.825
_cell_angle_alpha 90.00
_cell_angle_beta 90.00
_cell_angle_gamma 90.00
loop_
_atom_site_label
_atom_site_type_symbol
_atom_site_fract_x
_atom_site_fract_y
_atom_site_fract_z
Sr1 Sr 0.000 0.000 0.000
Mn1 Mn 0.166 0.331 0.456
V1 V 0.079 0.236 0.824
O1 O 0.001 0.325 0.417
O2 O 0.003 0.141 0.239
O3 O 0.153 0.313 0.696
O4 O 0.157 0.168 0.960
```

Output
Its spin magnetization is 0.77 μB per atom. The energy comes out at -7.572 eV per atom.


Repeat the first record exactly.
A plane-wave DFT calculation with PBE with a Hubbard U was carried out for a relaxed structure of Sr4Mn3O10.

CIF file:
```
data_Sr4Mn3O10
_chemical_formula_sum 'Sr16 Mn12 O40'
_symmetry_space_group_name_H-M 'P 2 2 21'
_symmetry_Int_Tables_number 17
_symmetry_space_group_name_Hall 'P 2c 2'
_cell_length_a 5.542
_cell_length_b 12.614
_cell_length_c 12.826
_cell_angle_alpha 90.00
_cell_angle_beta 90.00
_cell_angle_gamma 90.00
loop_
_atom_site_label
_atom_site_type_symbol
_atom_site_fract_x
_atom_site_fract_y
_atom_site_fract_z
Sr1 Sr 0.244 0.238 0.106
Sr2 Sr 0.247 0.471 0.856
Sr3 Sr 0.251 0.029 0.354
Sr4 Sr 0.254 0.262 0.604
Mn1 Mn 0.248 0.135 0.849
Mn2 Mn 0.251 0.000 0.000
Mn3 Mn 0.252 0.366 0.348
Mn4 Mn 0.257 0.500 0.500
O1 O 0.000 0.120 0.750
O2 O 0.000 0.383 0.250
O3 O 0.020 0.107 0.963
O4 O 0.026 0.393 0.463
O5 O 0.237 0.278 0.862
O6 O 0.248 0.223 0.354
O7 O 0.254 0.036 0.146
O8 O 0.260 0.463 0.646
O9 O 0.479 0.109 0.962
O10 O 0.484 0.391 0.463
O11 O 0.500 0.130 0.750
O12 O 0.500 0.379 0.250
```

Output
Its spin magnetization is 0.53 μB per atom. For the excess energy over the best structure of this formula in the dataset, the calculation gives 2.6 meV/atom.